(1)
K7TaS6O24 | meta-GGA r2SCAN | relaxed

Symmetry = R-3
ρ = 2.8 Mg/m³
ΔE_f = -76.07 eV per formula unit

Structure (POSCAR):
```
K7TaS6O24
1.0
7.595 4.385 3.074
-7.595 4.385 3.074
0.000 -8.770 3.074
K Ta S O
7 1 6 24
Direct
0.000 0.000 0.000
0.164 0.664 0.821
0.179 0.836 0.336
0.336 0.179 0.836
0.664 0.821 0.164
0.821 0.164 0.664
0.836 0.336 0.179
0.500 0.500 0.500
0.116 0.244 0.467
0.244 0.467 0.116
0.467 0.116 0.244
0.533 0.884 0.756
0.756 0.533 0.884
0.884 0.756 0.533
0.030 0.858 0.715
0.073 0.333 0.593
0.140 0.514 0.189
0.142 0.285 0.970
0.189 0.140 0.514
0.264 0.394 0.474
0.285 0.970 0.142
0.333 0.593 0.073
0.394 0.474 0.264
0.407 0.927 0.667
0.474 0.264 0.394
0.486 0.811 0.860
0.514 0.189 0.140
0.526 0.736 0.606
0.593 0.073 0.333
0.606 0.526 0.736
0.667 0.407 0.927
0.715 0.030 0.858
0.736 0.606 0.526
0.811 0.860 0.486
0.858 0.715 0.030
0.860 0.486 0.811
0.927 0.667 0.407
0.970 0.142 0.285
```

(2)
KSb5O13 | meta-GGA r2SCAN | relaxed

Symmetry = Ama2
ρ = 5.7 Mg/m³
ΔE_f = -30.75 eV per formula unit

Structure (POSCAR):
```
KSb5O13
1.0
16.846 0.000 0.000
0.000 4.481 3.301
0.000 -4.481 3.301
K Sb O
2 10 26
Direct
0.250 0.128 0.872
0.750 0.872 0.128
0.000 0.996 0.996
0.077 0.381 0.610
0.138 0.764 0.228
0.362 0.764 0.228
0.423 0.381 0.610
0.500 0.996 0.996
0.577 0.610 0.381
0.638 0.228 0.764
0.862 0.228 0.764
0.923 0.610 0.381
0.000 0.306 0.306
0.000 0.686 0.686
0.010 0.771 0.222
0.113 0.981 0.012
0.132 0.065 0.520
0.132 0.473 0.927
0.150 0.549 0.442
0.250 0.809 0.181
0.350 0.549 0.442
0.368 0.065 0.520
0.368 0.473 0.927
0.387 0.981 0.012
0.490 0.771 0.222
0.500 0.306 0.306
0.500 0.686 0.686
0.510 0.222 0.771
0.613 0.012 0.981
0.632 0.520 0.065
0.632 0.927 0.473
0.650 0.442 0.549
0.750 0.181 0.809
0.850 0.442 0.549
0.868 0.520 0.065
0.868 0.927 0.473
0.887 0.012 0.981
0.990 0.222 0.771
```

(3)
K3SbO4 | meta-GGA r2SCAN | relaxed

Symmetry = P2/c
ρ = 3.9 Mg/m³
ΔE_f = -13.84 eV per formula unit

Structure (POSCAR):
```
K3SbO4
1.0
6.560 0.000 0.000
0.000 7.358 0.000
-1.798 0.000 5.376
K Sb O
6 2 8
Direct
0.000 0.107 0.250
0.000 0.380 0.750
0.000 0.620 0.250
0.000 0.893 0.750
0.500 0.391 0.250
0.500 0.609 0.750
0.500 0.113 0.750
0.500 0.887 0.250
0.292 0.296 0.570
0.292 0.704 0.070
0.332 0.087 0.007
0.332 0.913 0.507
0.668 0.087 0.493
0.668 0.913 0.993
0.708 0.296 0.930
0.708 0.704 0.430
```

(4)
KSb5O13 | meta-GGA r2SCAN | relaxed

Symmetry = P2_1/m
ρ = 5.7 Mg/m³
ΔE_f = -30.75 eV per formula unit

Structure (POSCAR):
```
KSb5O13
1.0
5.561 0.000 0.000
0.000 16.847 0.000
-1.651 0.000 5.321
K Sb O
2 10 26
Direct
0.122 0.250 0.365
0.878 0.750 0.635
0.000 0.000 0.500
0.000 0.500 0.500
0.232 0.638 0.269
0.232 0.862 0.269
0.386 0.077 0.115
0.386 0.423 0.115
0.614 0.577 0.885
0.614 0.923 0.885
0.768 0.138 0.731
0.768 0.362 0.731
0.015 0.613 0.484
0.015 0.887 0.484
0.068 0.132 0.024
0.068 0.368 0.024
0.183 0.750 0.311
0.228 0.510 0.277
0.228 0.990 0.277
0.310 0.000 0.811
0.310 0.500 0.811
0.448 0.650 0.055
0.448 0.850 0.055
0.477 0.133 0.429
0.477 0.367 0.429
0.523 0.633 0.571
0.523 0.867 0.571
0.552 0.150 0.945
0.552 0.350 0.945
0.690 0.000 0.189
0.690 0.500 0.189
0.772 0.010 0.723
0.772 0.490 0.723
0.817 0.250 0.689
0.932 0.632 0.976
0.932 0.868 0.976
0.985 0.113 0.516
0.985 0.387 0.516
```

(5)
KSb3O5 | meta-GGA r2SCAN | relaxed

Symmetry = P2_1/c
ρ = 4.8 Mg/m³
ΔE_f = -14.17 eV per formula unit

Structure (POSCAR):
```
KSb3O5
1.0
6.984 0.000 0.000
0.000 13.964 0.000
-3.953 0.000 6.877
K Sb O
4 12 20
Direct
0.050 0.242 0.452
0.050 0.258 0.952
0.950 0.742 0.048
0.950 0.758 0.548
0.012 0.013 0.713
0.012 0.487 0.213
0.461 0.602 0.136
0.461 0.898 0.636
0.489 0.642 0.579
0.489 0.858 0.079
0.511 0.142 0.921
0.511 0.358 0.421
0.539 0.102 0.364
0.539 0.398 0.864
0.988 0.513 0.787
0.988 0.987 0.287
0.178 0.631 0.892
0.178 0.869 0.392
0.196 0.038 0.591
0.196 0.462 0.091
0.256 0.096 0.937
0.256 0.404 0.437
0.332 0.654 0.290
0.332 0.846 0.790
0.390 0.227 0.360
0.390 0.273 0.860
0.610 0.727 0.140
0.610 0.773 0.640
0.668 0.154 0.210
0.668 0.346 0.710
0.744 0.596 0.563
0.744 0.904 0.063
0.804 0.538 0.909
0.804 0.962 0.409
0.822 0.131 0.608
0.822 0.369 0.108
```

(6)
KSrTbSbO6 | meta-GGA r2SCAN | relaxed

Symmetry = F-43m
ρ = 5.7 Mg/m³
ΔE_f = -24.73 eV per formula unit

Structure (POSCAR):
```
KSrTbSbO6
1.0
0.000 4.189 4.189
4.189 0.000 4.189
4.189 4.189 0.000
K Sr Tb Sb O
1 1 1 1 6
Direct
0.000 0.000 0.000
0.500 0.500 0.500
0.250 0.250 0.250
0.750 0.750 0.750
0.515 0.515 0.985
0.515 0.985 0.515
0.515 0.985 0.985
0.985 0.515 0.515
0.985 0.515 0.985
0.985 0.985 0.515
```

(7)
K2Se2O7 | meta-GGA r2SCAN | relaxed

Symmetry = C2/c
ρ = 3.2 Mg/m³
ΔE_f = -13.32 eV per formula unit

Structure (POSCAR):
```
K2Se2O7
1.0
6.415 -3.771 0.000
6.415 3.771 0.000
-0.445 0.000 7.477
K Se O
4 4 14
Direct
0.001 0.706 0.635
0.294 0.999 0.865
0.706 0.001 0.135
0.999 0.294 0.365
0.215 0.573 0.129
0.427 0.785 0.371
0.573 0.215 0.629
0.785 0.427 0.871
0.035 0.641 0.274
0.146 0.745 0.976
0.255 0.854 0.524
0.313 0.336 0.057
0.336 0.313 0.557
0.359 0.965 0.226
0.435 0.565 0.250
0.565 0.435 0.750
0.641 0.035 0.774
0.664 0.687 0.443
0.687 0.664 0.943
0.745 0.146 0.476
0.854 0.255 0.024
0.965 0.359 0.726
```

(8)
K6Se2O9 | meta-GGA r2SCAN | relaxed

Symmetry = P4_12_12
ρ = 3.1 Mg/m³
ΔE_f = -25.72 eV per formula unit

Structure (POSCAR):
```
K6Se2O9
1.0
8.113 0.000 0.000
0.000 8.113 0.000
0.000 0.000 17.416
K Se O
24 8 36
Direct
0.001 0.041 0.353
0.003 0.522 0.877
0.022 0.497 0.627
0.041 0.001 0.647
0.206 0.777 0.496
0.223 0.794 0.004
0.277 0.294 0.246
0.294 0.277 0.754
0.459 0.501 0.603
0.478 0.997 0.623
0.497 0.022 0.373
0.499 0.541 0.897
0.501 0.459 0.397
0.503 0.978 0.873
0.522 0.003 0.123
0.541 0.499 0.103
0.706 0.723 0.254
0.723 0.706 0.746
0.777 0.206 0.504
0.794 0.223 0.996
0.959 0.999 0.147
0.978 0.503 0.127
0.997 0.478 0.377
0.999 0.959 0.853
0.234 0.766 0.250
0.246 0.246 0.500
0.254 0.746 0.750
0.266 0.266 0.000
0.734 0.734 0.500
0.746 0.254 0.250
0.754 0.754 0.000
0.766 0.234 0.750
0.035 0.735 0.265
0.046 0.700 0.748
0.094 0.094 0.500
0.161 0.209 0.923
0.200 0.454 0.498
0.209 0.161 0.077
0.235 0.465 0.015
0.241 0.248 0.604
0.248 0.241 0.396
0.252 0.741 0.854
0.259 0.748 0.646
0.265 0.965 0.235
0.291 0.661 0.173
0.300 0.954 0.752
0.339 0.709 0.327
0.406 0.594 0.750
0.454 0.200 0.502
0.465 0.235 0.985
0.535 0.765 0.485
0.546 0.800 0.002
0.594 0.406 0.250
0.661 0.291 0.827
0.700 0.046 0.252
0.709 0.339 0.673
0.735 0.035 0.735
0.741 0.252 0.146
0.748 0.259 0.354
0.752 0.759 0.896
0.759 0.752 0.104
0.765 0.535 0.515
0.791 0.839 0.577
0.800 0.546 0.998
0.839 0.791 0.423
0.906 0.906 0.000
0.954 0.300 0.248
0.965 0.265 0.765
```

(9)
K2Si2O5 | meta-GGA r2SCAN | relaxed

Symmetry = Cc
ρ = 2.6 Mg/m³
ΔE_f = -24.72 eV per formula unit

Structure (POSCAR):
```
K2Si2O5
1.0
8.215 -5.630 0.000
8.215 5.630 0.000
-4.384 0.000 8.936
K Si O
12 12 30
Direct
0.015 0.985 0.500
0.077 0.543 0.997
0.121 0.604 0.409
0.259 0.784 0.263
0.383 0.935 0.102
0.538 0.583 0.445
0.543 0.077 0.497
0.583 0.538 0.945
0.604 0.121 0.909
0.784 0.259 0.763
0.935 0.383 0.602
0.985 0.015 0.000
0.175 0.226 0.354
0.194 0.699 0.803
0.226 0.175 0.854
0.311 0.346 0.700
0.346 0.311 0.200
0.376 0.835 0.716
0.699 0.194 0.303
0.705 0.736 0.303
0.736 0.705 0.803
0.824 0.860 0.144
0.835 0.376 0.216
0.860 0.824 0.644
0.010 0.349 0.319
0.044 0.787 0.696
0.061 0.178 0.763
0.178 0.061 0.263
0.189 0.739 0.969
0.211 0.521 0.711
0.222 0.252 0.537
0.252 0.222 0.037
0.284 0.297 0.828
0.290 0.804 0.545
0.297 0.284 0.328
0.317 0.483 0.224
0.339 0.745 0.804
0.349 0.010 0.819
0.483 0.317 0.724
0.521 0.211 0.211
0.542 0.779 0.319
0.557 0.776 0.740
0.696 0.815 0.178
0.739 0.189 0.469
0.745 0.339 0.304
0.776 0.557 0.240
0.778 0.986 0.721
0.779 0.542 0.819
0.787 0.044 0.196
0.790 0.827 0.961
0.804 0.290 0.045
0.815 0.696 0.678
0.827 0.790 0.461
0.986 0.778 0.221
```

(10)
K2Si4O9 | meta-GGA r2SCAN | relaxed

Symmetry = P-1
ρ = 2.3 Mg/m³
ΔE_f = -43.10 eV per formula unit

Structure (POSCAR):
```
K2Si4O9
1.0
4.939 0.000 0.000
0.135 8.345 0.000
0.068 3.919 11.473
K Si O
4 8 18
Direct
0.237 0.436 0.139
0.257 0.913 0.652
0.743 0.087 0.348
0.763 0.564 0.861
0.205 0.942 0.146
0.211 0.700 0.399
0.284 0.316 0.446
0.294 0.829 0.937
0.706 0.171 0.063
0.716 0.684 0.554
0.789 0.300 0.601
0.795 0.058 0.854
0.098 0.270 0.566
0.107 0.992 0.859
0.232 0.205 0.367
0.240 0.808 0.075
0.243 0.520 0.376
0.249 0.663 0.907
0.286 0.849 0.281
0.394 0.105 0.093
0.404 0.712 0.503
0.596 0.288 0.497
0.606 0.895 0.907
0.714 0.151 0.719
0.751 0.337 0.093
0.757 0.480 0.624
0.760 0.192 0.925
0.768 0.795 0.633
0.893 0.008 0.141
0.902 0.730 0.434
```